Version a
# Li2VC2O6 (PBE+U, optimized geometry)
# **Mass density**: 2.4 g/cm³
# **Spin magnetization**: 2.000 μB/cell
data_Li2VC2O6
_chemical_formula_sum 'Li4 V2 C4 O12'
_symmetry_space_group_name_H-M 'P 1'
_symmetry_Int_Tables_number 1
_cell_length_a 5.338
_cell_length_b 6.413
_cell_length_c 8.671
_cell_angle_alpha 84.15
_cell_angle_beta 106.06
_cell_angle_gamma 113.71
loop_
_symmetry_equiv_pos_as_xyz
'x,y,z'
loop_
_atom_site_label
_atom_site_fract_x
_atom_site_fract_y
_atom_site_fract_z
Li1 0.231 0.487 0.162
Li2 0.797 0.964 0.346
Li3 0.520 0.053 0.669
Li4 0.594 0.563 0.827
V1 0.866 0.496 0.498
V2 0.107 0.010 0.002
C1 0.827 0.609 0.198
C2 0.394 0.094 0.301
C3 0.002 0.905 0.701
C4 0.044 0.406 0.799
O1 0.472 0.033 0.190
O2 0.029 0.556 0.289
O3 0.824 0.670 0.051
O4 0.148 0.108 0.262
O5 0.631 0.602 0.265
O6 0.566 0.139 0.445
O7 0.193 0.452 0.695
O8 0.246 0.960 0.805
O9 0.971 0.850 0.556
O10 0.793 0.906 0.753
O11 0.146 0.362 0.946
O12 0.787 0.403 0.745

=====

Version b
# Li2VC2O6 (PBE+U, optimized geometry)
# **Mass density**: 2.3 g/cm³
# **Spin magnetization**: 5.973 μB/cell
data_Li2VC2O6
_chemical_formula_sum 'Li4 V2 C4 O12'
_symmetry_space_group_name_H-M 'P 1'
_symmetry_Int_Tables_number 1
_cell_length_a 4.897
_cell_length_b 6.417
_cell_length_c 8.337
_cell_angle_alpha 90.00
_cell_angle_beta 87.52
_cell_angle_gamma 89.99
loop_
_symmetry_equiv_pos_as_xyz
'x,y,z'
loop_
_atom_site_label
_atom_site_fract_x
_atom_site_fract_y
_atom_site_fract_z
Li1 0.018 0.275 0.667
Li2 0.482 0.775 0.833
Li3 0.518 0.225 0.167
Li4 0.982 0.725 0.333
V1 0.000 0.000 0.000
V2 0.500 0.500 0.500
C1 0.014 0.275 0.323
C2 0.486 0.775 0.177
C3 0.514 0.225 0.823
C4 0.986 0.725 0.677
O1 0.131 0.190 0.197
O2 0.154 0.303 0.450
O3 0.259 0.167 0.823
O4 0.241 0.667 0.677
O5 0.346 0.803 0.050
O6 0.369 0.691 0.303
O7 0.631 0.309 0.697
O8 0.654 0.197 0.950
O9 0.759 0.333 0.323
O10 0.741 0.833 0.177
O11 0.846 0.697 0.550
O12 0.869 0.809 0.803

=====

Most stable to least stable: version b, version a

=====

Version a
# Li3Cr2P3O12 (PBE+U, optimized geometry)
# **Mass density**: 3.0 g/cm³
# **Spin magnetization**: 24.004 μB/cell
data_Li3Cr2P3O12
_chemical_formula_sum 'Li12 Cr8 P12 O48'
_symmetry_space_group_name_H-M 'P 1'
_symmetry_Int_Tables_number 1
_cell_length_a 9.681
_cell_length_b 9.681
_cell_length_c 9.688
_cell_angle_alpha 86.47
_cell_angle_beta 86.47
_cell_angle_gamma 86.27
loop_
_symmetry_equiv_pos_as_xyz
'x,y,z'
loop_
_atom_site_label
_atom_site_fract_x
_atom_site_fract_y
_atom_site_fract_z
Li1 0.732 0.518 0.905
Li2 0.003 0.324 0.026
Li3 0.482 0.268 0.095
Li4 0.676 0.997 0.974
Li5 0.475 0.014 0.247
Li6 0.986 0.525 0.753
Li7 0.766 0.837 0.250
Li8 0.335 0.009 0.508
Li9 0.163 0.234 0.750
Li10 0.493 0.740 0.411
Li11 0.991 0.665 0.492
Li12 0.260 0.507 0.589
Cr1 0.751 0.468 0.283
Cr2 0.471 0.752 0.782
Cr3 0.034 0.966 0.000
Cr4 0.251 0.749 0.000
Cr5 0.751 0.249 0.500
Cr6 0.532 0.249 0.717
Cr7 0.968 0.032 0.500
Cr8 0.248 0.529 0.218
P1 0.329 0.448 0.901
P2 0.848 0.174 0.803
P3 0.349 0.052 0.920
P4 0.826 0.152 0.197
P5 0.449 0.323 0.403
P6 0.052 0.348 0.426
P7 0.948 0.651 0.080
P8 0.552 0.671 0.099
P9 0.177 0.843 0.302
P10 0.652 0.948 0.574
P11 0.157 0.823 0.698
P12 0.677 0.551 0.597
O1 0.210 0.404 0.821
O2 0.473 0.383 0.856
O3 0.931 0.292 0.845
O4 0.689 0.189 0.841
O5 0.315 0.409 0.060
O6 0.390 0.117 0.775
O7 0.892 0.030 0.871
O8 0.811 0.311 0.159
O9 0.190 0.089 0.936
O10 0.382 0.466 0.355
O11 0.111 0.396 0.280
O12 0.437 0.093 0.034
O13 0.970 0.108 0.129
O14 0.122 0.828 0.861
O15 0.379 0.887 0.918
O16 0.887 0.379 0.420
O17 0.613 0.333 0.372
O18 0.708 0.069 0.155
O19 0.412 0.201 0.325
O20 0.092 0.434 0.542
O21 0.834 0.123 0.360
O22 0.667 0.387 0.628
O23 0.911 0.810 0.064
O24 0.591 0.685 0.940
O25 0.409 0.314 0.561
O26 0.089 0.192 0.452
O27 0.333 0.612 0.870
O28 0.172 0.878 0.139
O29 0.907 0.563 0.966
O30 0.596 0.790 0.179
O31 0.305 0.907 0.348
O32 0.113 0.621 0.082
O33 0.388 0.667 0.130
O34 0.621 0.113 0.580
O35 0.877 0.166 0.640
O36 0.035 0.896 0.366
O37 0.566 0.908 0.458
O38 0.617 0.527 0.144
O39 0.883 0.610 0.225
O40 0.808 0.911 0.548
O41 0.181 0.684 0.339
O42 0.104 0.965 0.634
O43 0.604 0.889 0.720
O44 0.686 0.591 0.439
O45 0.316 0.819 0.661
O46 0.093 0.695 0.652
O47 0.534 0.618 0.645
O48 0.799 0.588 0.675

=====

Version b
# Li3Cr2P3O12 (PBE+U, optimized geometry)
# **Mass density**: 2.9 g/cm³
# **Spin magnetization**: 11.999 μB/cell
data_Li3Cr2P3O12
_chemical_formula_sum 'Li6 Cr4 P6 O24'
_symmetry_space_group_name_H-M 'P 1'
_symmetry_Int_Tables_number 1
_cell_length_a 8.706
_cell_length_b 8.706
_cell_length_c 8.685
_cell_angle_alpha 60.12
_cell_angle_beta 60.12
_cell_angle_gamma 59.56
loop_
_symmetry_equiv_pos_as_xyz
'x,y,z'
loop_
_atom_site_label
_atom_site_fract_x
_atom_site_fract_y
_atom_site_fract_z
Li1 0.258 0.112 0.828
Li2 0.964 0.649 0.563
Li3 0.112 0.258 0.328
Li4 0.635 0.383 0.731
Li5 0.383 0.635 0.231
Li6 0.649 0.964 0.063
Cr1 0.847 0.353 0.939
Cr2 0.353 0.847 0.439
Cr3 0.147 0.646 0.069
Cr4 0.646 0.147 0.569
P1 0.956 0.047 0.751
P2 0.047 0.956 0.251
P3 0.527 0.750 0.761
P4 0.471 0.247 0.241
P5 0.750 0.527 0.261
P6 0.247 0.471 0.741
O1 0.517 0.248 0.388
O2 0.278 0.407 0.239
O3 0.071 0.758 0.266
O4 0.724 0.596 0.760
O5 0.946 0.527 0.212
O6 0.376 0.717 0.960
O7 0.596 0.724 0.260
O8 0.735 0.481 0.122
O9 0.248 0.517 0.888
O10 0.884 0.988 0.431
O11 0.274 0.626 0.544
O12 0.065 0.448 0.781
O13 0.527 0.946 0.712
O14 0.407 0.278 0.739
O15 0.988 0.884 0.931
O16 0.942 0.235 0.744
O17 0.235 0.942 0.244
O18 0.019 0.112 0.066
O19 0.481 0.735 0.622
O20 0.717 0.376 0.460
O21 0.626 0.274 0.044
O22 0.112 0.019 0.566
O23 0.448 0.065 0.281
O24 0.758 0.071 0.766

=====

Most stable to least stable: version b, version a

=====

Version a
# Ba6MgCo2Sb4O18 (PBE+U, optimized geometry)
# **Mass density**: 5.9 g/cm³
# **Spin magnetization**: 4.266 μB/cell
data_Ba6MgCo2Sb4O18
_chemical_formula_sum 'Ba6 Mg1 Co2 Sb4 O18'
_symmetry_space_group_name_H-M 'P 1'
_symmetry_Int_Tables_number 1
_cell_length_a 6.015
_cell_length_b 6.063
_cell_length_c 15.430
_cell_angle_alpha 85.15
_cell_angle_beta 90.01
_cell_angle_gamma 119.77
loop_
_symmetry_equiv_pos_as_xyz
'x,y,z'
loop_
_atom_site_label
_atom_site_fract_x
_atom_site_fract_y
_atom_site_fract_z
Ba1 0.378 0.756 0.618
Ba2 0.647 0.297 0.076
Ba3 0.612 0.224 0.377
Ba4 0.340 0.678 0.918
Ba5 0.023 0.046 0.765
Ba6 0.963 0.926 0.226
Mg1 0.921 0.840 0.461
Co1 0.995 0.992 0.999
Co2 0.125 0.250 0.535
Sb1 0.307 0.614 0.143
Sb2 0.695 0.390 0.660
Sb3 0.683 0.365 0.849
Sb4 0.292 0.584 0.337
O1 0.144 0.794 0.074
O2 0.144 0.287 0.081
O3 0.649 0.794 0.074
O4 0.363 0.200 0.605
O5 0.842 0.682 0.907
O6 0.835 0.201 0.604
O7 0.855 0.712 0.586
O8 0.137 0.744 0.403
O9 0.610 0.743 0.401
O10 0.354 0.198 0.918
O11 0.846 0.199 0.917
O12 0.122 0.243 0.411
O13 0.449 0.897 0.244
O14 0.542 0.524 0.751
O15 0.983 0.524 0.750
O16 0.542 0.084 0.763
O17 0.449 0.445 0.253
O18 0.996 0.446 0.253

=====

Version b
# Ba6MgCo2Sb4O18 (PBE+U, optimized geometry)
# **Mass density**: 5.9 g/cm³
# **Spin magnetization**: 4.302 μB/cell
data_Ba6MgCo2Sb4O18
_chemical_formula_sum 'Ba6 Mg1 Co2 Sb4 O18'
_symmetry_space_group_name_H-M 'P 1'
_symmetry_Int_Tables_number 1
_cell_length_a 6.019
_cell_length_b 6.015
_cell_length_c 15.507
_cell_angle_alpha 90.02
_cell_angle_beta 90.53
_cell_angle_gamma 120.03
loop_
_symmetry_equiv_pos_as_xyz
'x,y,z'
loop_
_atom_site_label
_atom_site_fract_x
_atom_site_fract_y
_atom_site_fract_z
Ba1 0.343 0.672 0.571
Ba2 0.670 0.335 0.065
Ba3 0.667 0.334 0.415
Ba4 0.321 0.660 0.889
Ba5 0.008 0.004 0.719
Ba6 0.996 0.998 0.279
Mg1 0.975 0.987 0.942
Co1 0.014 0.008 0.098
Co2 0.007 0.002 0.498
Sb1 0.339 0.670 0.159
Sb2 0.675 0.337 0.641
Sb3 0.649 0.324 0.831
Sb4 0.332 0.666 0.345
O1 0.188 0.825 0.081
O2 0.189 0.364 0.081
O3 0.655 0.828 0.088
O4 0.343 0.172 0.571
O5 0.785 0.626 0.910
O6 0.845 0.169 0.575
O7 0.849 0.677 0.575
O8 0.170 0.827 0.412
O9 0.654 0.827 0.415
O10 0.312 0.156 0.891
O11 0.785 0.157 0.911
O12 0.169 0.344 0.412
O13 0.481 0.961 0.254
O14 0.517 0.486 0.743
O15 0.969 0.483 0.757
O16 0.516 0.029 0.743
O17 0.481 0.521 0.254
O18 0.042 0.522 0.250

=====

Most stable to least stable: version a, version b